(1)
A plane-wave DFT calculation with GGA-PBE was carried out for an optimized crystal structure of HfMg14Mo.

Results
- SG = Amm2
- DFT total energy (eV/cell) = -41.41
- crystal system = orthorhombic
- magnetization (μB per cell) = 0.00
- energy above the most stable polymorph in this dataset (meV per atom) = 0
- energy relative to the elements (eV per atom) = 0.112

a b c (Å): 10.1249 6.3765 6.3765
angles (deg): 56.87 90.00 90.00
Last column: nearest neighbours and their distance in Å.
Atoms (fractional coordinates):
Hf1 0.0000 0.0000 0.0000  2 Mo 3.04, 10 Mg 3.07-3.21
Mg1 0.0000 0.0034 0.4955  8 Mg 2.99-3.15, 2 Mo 3.16-3.21, 2 Hf 3.17-3.21
Mg2 0.0000 0.4955 0.0034  8 Mg 2.99-3.15, 2 Mo 3.16-3.21, 2 Hf 3.17-3.21
Mg3 0.2367 0.6507 0.6507  1 Mo 2.94, 11 Mg 3.04-3.30
Mg4 0.2422 0.1649 0.6554  10 Mg 2.98-3.30, 1 Mo 3.03, 1 Hf 3.07
Mg5 0.2422 0.6554 0.1649  10 Mg 2.98-3.30, 1 Mo 3.03, 1 Hf 3.07
Mg6 0.2525 0.1545 0.1545  11 Mg 3.04-3.23, 1 Hf 3.09
Mg7 0.5000 0.4959 0.4959  12 Mg 3.04-3.20
Mg8 0.5000 0.4978 0.9934  12 Mg 3.01-3.24
Mg9 0.5000 0.9934 0.4978  12 Mg 3.01-3.24
Mg10 0.5000 0.9932 0.9932  12 Mg 3.04-3.22
Mg11 0.7475 0.1545 0.1545  11 Mg 3.04-3.23, 1 Hf 3.09
Mg12 0.7578 0.1649 0.6554  10 Mg 2.98-3.30, 1 Mo 3.03, 1 Hf 3.07
Mg13 0.7578 0.6554 0.1649  10 Mg 2.98-3.30, 1 Mo 3.03, 1 Hf 3.07
Mg14 0.7633 0.6507 0.6507  1 Mo 2.94, 11 Mg 3.04-3.30
Mo1 0.0000 0.4982 0.4982  10 Mg 2.94-3.21, 2 Hf 3.04

***

(2)
A plane-wave DFT calculation with GGA-PBE was carried out for an optimized crystal structure of K2PbBr4O.

Results
- SG = P2_12_12
- DFT total energy (eV/cell) = -50.45
- crystal system = orthorhombic
- magnetization (μB per cell) = 4.00
- energy relative to the elements (eV per atom) = -1.060

a b c (Å): 8.3325 14.1256 4.5052
angles (deg): 90.00 90.00 90.00
Last column: nearest neighbours and their distance in Å.
Atoms (fractional coordinates):
K1 0.0836 0.1718 0.0073  1 O 2.92
K2 0.4164 0.6718 0.9927  1 O 2.92
K3 0.5836 0.3282 0.9927  1 O 2.92
K4 0.9164 0.8282 0.0073  1 O 2.92
Pb1 0.0000 0.5000 0.4871  6 Br 3.01-3.11
Pb2 0.5000 0.0000 0.5129  6 Br 3.01-3.11
Br1 0.1215 0.7004 0.4998  1 Pb 3.01, 2 K 3.33-3.34
Br2 0.2416 0.4550 0.9813  1 O 2.66
Br3 0.2584 0.9550 0.0187  1 O 2.66
Br4 0.3785 0.2004 0.5002  1 Pb 3.01, 2 K 3.33-3.34
Br5 0.6215 0.7996 0.5002  1 Pb 3.01, 2 K 3.33-3.34
Br6 0.7416 0.0450 0.0187  1 O 2.66
Br7 0.7584 0.5450 0.9813  1 O 2.66
Br8 0.8785 0.2996 0.4998  1 Pb 3.01, 2 K 3.33-3.34
O1 0.0000 0.0000 0.3342  2 Br 2.66, 2 K 2.92
O2 0.5000 0.5000 0.6658  2 Br 2.66, 2 K 2.92

***

(3)
A plane-wave DFT calculation with GGA-PBE was carried out for an optimized crystal structure of MnSiAs2.

Results
- SG = I-42d
- DFT total energy (eV/cell) = -95.12
- crystal system = tetragonal
- magnetization (μB per cell) = 19.79
- energy relative to the elements (eV per atom) = 0.031

a b c (Å): 5.8243 5.8243 10.9202
angles (deg): 90.00 90.00 90.00
Last column: nearest neighbours and their distance in Å.
Atoms (fractional coordinates):
Mn1 0.0000 0.0000 0.0000  4 As 2.55
Mn2 0.0000 0.5000 0.2500  4 As 2.55
Mn3 0.5000 0.0000 0.7500  4 As 2.55
Mn4 0.5000 0.5000 0.5000  4 As 2.55
Si1 0.0000 0.0000 0.5000  4 As 2.40
Si2 0.0000 0.5000 0.7500  4 As 2.40
Si3 0.5000 0.0000 0.2500  4 As 2.40
Si4 0.5000 0.5000 0.0000  4 As 2.40
As1 0.2274 0.7500 0.6250  2 Si 2.40, 2 Mn 2.55
As2 0.2500 0.2274 0.3750  2 Si 2.40, 2 Mn 2.55
As3 0.2500 0.2726 0.8750  2 Si 2.40, 2 Mn 2.55
As4 0.2726 0.7500 0.1250  2 Si 2.40, 2 Mn 2.55
As5 0.7274 0.2500 0.1250  2 Si 2.40, 2 Mn 2.55
As6 0.7500 0.7274 0.8750  2 Si 2.40, 2 Mn 2.55
As7 0.7500 0.7726 0.3750  2 Si 2.40, 2 Mn 2.55
As8 0.7726 0.2500 0.6250  2 Si 2.40, 2 Mn 2.55

***

(4)
A plane-wave DFT calculation with GGA-PBE was carried out for an optimized crystal structure of BPb2O3F.

Results
- SG = P6_3/m
- DFT total energy (eV/cell) = -265.24
- crystal system = hexagonal
- magnetization (μB per cell) = 0.00
- energy relative to the elements (eV per atom) = -2.267

a b c (Å): 7.4120 7.4120 14.8504
angles (deg): 90.00 90.00 120.00
Last column: nearest neighbours and their distance in Å.
Atoms (fractional coordinates):
B1 0.0067 0.3657 0.2500  3 O 1.39
B2 0.3590 0.9933 0.2500  3 O 1.39
B3 0.3657 0.3590 0.7500  3 O 1.39
B4 0.6343 0.6410 0.2500  3 O 1.39
B5 0.6410 0.0067 0.7500  3 O 1.39
B6 0.9933 0.6343 0.7500  3 O 1.39
Pb1 0.0108 0.6861 0.1067  3 O 2.30-2.48, 1 F 2.56
Pb2 0.0108 0.6861 0.3933  3 O 2.30-2.48, 1 F 2.56
Pb3 0.3139 0.3247 0.1067  3 O 2.30-2.48, 1 F 2.56
Pb4 0.3139 0.3247 0.3933  3 O 2.30-2.48, 1 F 2.56
Pb5 0.3247 0.0108 0.6067  3 O 2.30-2.48, 1 F 2.56
Pb6 0.3247 0.0108 0.8933  3 O 2.30-2.48, 1 F 2.56
Pb7 0.6753 0.9892 0.1067  3 O 2.30-2.48, 1 F 2.56
Pb8 0.6753 0.9892 0.3933  3 O 2.30-2.48, 1 F 2.56
Pb9 0.6861 0.6753 0.6067  3 O 2.30-2.48, 1 F 2.56
Pb10 0.6861 0.6753 0.8933  3 O 2.30-2.48, 1 F 2.56
Pb11 0.9892 0.3139 0.6067  3 O 2.30-2.48, 1 F 2.56
Pb12 0.9892 0.3139 0.8933  3 O 2.30-2.48, 1 F 2.56
O1 0.9996 0.4505 0.7500  1 B 1.39
O2 0.0004 0.5495 0.2500  1 B 1.39
O3 0.0071 0.2770 0.1676  1 B 1.39
O4 0.0071 0.2770 0.3324  1 B 1.39
O5 0.2699 0.9929 0.1676  1 B 1.39
O6 0.2699 0.9929 0.3324  1 B 1.39
O7 0.2770 0.2699 0.6676  1 B 1.39
O8 0.2770 0.2699 0.8324  1 B 1.39
O9 0.4509 0.0004 0.7500  1 B 1.39
O10 0.4505 0.4509 0.2500  1 B 1.39
O11 0.5491 0.9996 0.2500  1 B 1.39
O12 0.5495 0.5491 0.7500  1 B 1.39
O13 0.7230 0.7301 0.1676  1 B 1.39
O14 0.7230 0.7301 0.3324  1 B 1.39
O15 0.7301 0.0071 0.6676  1 B 1.39
O16 0.7301 0.0071 0.8324  1 B 1.39
O17 0.9929 0.7230 0.6676  1 B 1.39
O18 0.9929 0.7230 0.8324  1 B 1.39
F1 0.0000 0.0000 0.0000  6 Pb 2.85
F2 0.0000 0.0000 0.5000  6 Pb 2.85
F3 0.3333 0.6667 0.0593  3 Pb 2.56
F4 0.3333 0.6667 0.4407  3 Pb 2.56
F5 0.6667 0.3333 0.5593  3 Pb 2.56
F6 0.6667 0.3333 0.9407  3 Pb 2.56

***

(5)
A plane-wave DFT calculation with GGA-PBE was carried out for an optimized crystal structure of MgZn2Co4S8.

Results
- SG = C2/m
- DFT total energy (eV/cell) = -71.89
- crystal system = monoclinic
- magnetization (μB per cell) = 0.00
- energy above the most stable polymorph in this dataset (meV per atom) = 21
- energy relative to the elements (eV per atom) = -0.685

a b c (Å): 6.8391 6.8391 6.8935
angles (deg): 119.32 119.32 60.88
Last column: nearest neighbours and their distance in Å.
Atoms (fractional coordinates):
Mg1 0.0000 0.0000 0.0000  6 S 2.58
Zn1 0.0000 0.5000 0.5000  6 S 2.52-2.60
Zn2 0.5000 0.0000 0.5000  6 S 2.52-2.60
Co1 0.0000 0.5000 0.0000  6 S 2.31-2.35
Co2 0.5000 0.0000 0.0000  6 S 2.31-2.35
Co3 0.5000 0.5000 0.0000  6 S 2.25-2.27
Co4 0.5000 0.5000 0.5000  6 S 2.30-2.33
S1 0.2650 0.2650 0.2344  3 Co 2.30-2.31
S2 0.2681 0.2681 0.7909  3 Co 2.25-2.34
S3 0.2731 0.7101 0.2361  3 Co 2.27-2.35, 1 Zn 2.52
S4 0.2899 0.7269 0.7639  3 Co 2.27-2.35, 1 Zn 2.52
S5 0.7101 0.2731 0.2361  3 Co 2.27-2.35, 1 Zn 2.52
S6 0.7269 0.2899 0.7639  3 Co 2.27-2.35, 1 Zn 2.52
S7 0.7319 0.7319 0.2091  3 Co 2.25-2.34
S8 0.7350 0.7350 0.7656  3 Co 2.30-2.31

***

(6)
A plane-wave DFT calculation with GGA-PBE was carried out for an optimized crystal structure of Ca2SiO4.

Results
- SG = P2_1/c
- DFT total energy (eV/cell) = -199.88
- crystal system = monoclinic
- magnetization (μB per cell) = 0.00
- energy above the most stable polymorph in this dataset (meV per atom) = 121
- energy relative to the elements (eV per atom) = -3.355

a b c (Å): 6.2513 7.0913 9.7933
angles (deg): 90.00 123.37 90.00
Last column: nearest neighbours and their distance in Å.
Atoms (fractional coordinates):
Ca1 0.0365 0.0646 0.1950  5 O 2.32-2.46
Ca2 0.0365 0.4354 0.6950  5 O 2.32-2.46
Ca3 0.3180 0.6077 0.1481  4 O 2.27-2.47
Ca4 0.3180 0.8923 0.6481  4 O 2.27-2.47
Ca5 0.6820 0.1077 0.3519  4 O 2.27-2.47
Ca6 0.6820 0.3923 0.8519  4 O 2.27-2.47
Ca7 0.9635 0.5646 0.3050  5 O 2.32-2.46
Ca8 0.9635 0.9354 0.8050  5 O 2.32-2.46
Si1 0.3415 0.2123 0.0018  4 O 1.65-1.66
Si2 0.3415 0.2877 0.5018  4 O 1.65-1.66
Si3 0.6585 0.7123 0.4982  4 O 1.65-1.66
Si4 0.6585 0.7877 0.9982  4 O 1.65-1.66
O1 0.1240 0.1247 0.4587  1 Si 1.65
O2 0.1240 0.3753 0.9587  1 Si 1.65
O3 0.2675 0.1566 0.8163  1 Si 1.66
O4 0.2675 0.3434 0.3163  1 Si 1.66
O5 0.2841 0.0344 0.0865  1 Si 1.65
O6 0.2841 0.4656 0.5865  1 Si 1.65
O7 0.3631 0.7093 0.8734  1 Si 1.65
O8 0.3631 0.7907 0.3734  1 Si 1.65
O9 0.6369 0.2093 0.6266  1 Si 1.65
O10 0.6369 0.2907 0.1266  1 Si 1.65
O11 0.7159 0.5344 0.4135  1 Si 1.65
O12 0.7159 0.9656 0.9135  1 Si 1.65
O13 0.7325 0.6566 0.6837  1 Si 1.66
O14 0.7325 0.8434 0.1837  1 Si 1.66
O15 0.8760 0.6247 0.0413  1 Si 1.65
O16 0.8760 0.8753 0.5413  1 Si 1.65

***

(7)
A plane-wave DFT calculation with GGA-PBE was carried out for an optimized crystal structure of Ba2YMgNbO6.

Results
- SG = R3m
- DFT total energy (eV/cell) = -78.10
- crystal system = trigonal
- magnetization (μB per cell) = 0.02
- energy above the most stable polymorph in this dataset (meV per atom) = 71
- energy relative to the elements (eV per atom) = -2.775

a b c (Å): 6.6501 6.6501 6.6501
angles (deg): 54.02 54.02 54.02
Last column: nearest neighbours and their distance in Å.
Atoms (fractional coordinates):
Ba1 0.0000 0.0000 0.0000  3 O 2.55
Ba2 0.4585 0.4585 0.4585  9 O 2.86-3.04
Y1 0.6659 0.6659 0.6659  3 O 2.21
Mg1 0.8287 0.8287 0.8287  3 O 1.94
Nb1 0.1910 0.1910 0.1910  3 O 2.03
O1 0.4184 0.4184 0.9326  1 Nb 2.03, 1 Y 2.21
O2 0.4184 0.9326 0.4184  1 Nb 2.03, 1 Y 2.21
O3 0.4481 0.9365 0.9365  1 Mg 1.94
O4 0.9326 0.4184 0.4184  1 Nb 2.03, 1 Y 2.21
O5 0.9365 0.4481 0.9365  1 Mg 1.94
O6 0.9365 0.9365 0.4481  1 Mg 1.94

***

(8)
A plane-wave DFT calculation with GGA-PBE was carried out for an optimized crystal structure of Tm2OsRu.

Results
- SG = Fm-3m
- DFT total energy (eV/cell) = -122.37
- crystal system = cubic
- energy relative to the elements (eV per atom) = -0.285

a b c (Å): 6.7269 6.7269 6.7269
angles (deg): 90.00 90.00 90.00
Last column: nearest neighbours and their distance in Å.
Atoms (fractional coordinates):
Tm1 0.2500 0.2500 0.2500  4 Ru 2.91, 4 Os 2.91
Tm2 0.2500 0.2500 0.7500  4 Os 2.91, 4 Ru 2.91
Tm3 0.2500 0.7500 0.2500  4 Os 2.91, 4 Ru 2.91
Tm4 0.2500 0.7500 0.7500  4 Ru 2.91, 4 Os 2.91
Tm5 0.7500 0.2500 0.2500  4 Os 2.91, 4 Ru 2.91
Tm6 0.7500 0.2500 0.7500  4 Ru 2.91, 4 Os 2.91
Tm7 0.7500 0.7500 0.2500  4 Ru 2.91, 4 Os 2.91
Tm8 0.7500 0.7500 0.7500  4 Os 2.91, 4 Ru 2.91
Os1 0.0000 0.0000 0.0000  8 Tm 2.91
Os2 0.0000 0.5000 0.5000  8 Tm 2.91
Os3 0.5000 0.0000 0.5000  8 Tm 2.91
Os4 0.5000 0.5000 0.0000  8 Tm 2.91
Ru1 0.0000 0.0000 0.5000  8 Tm 2.91
Ru2 0.0000 0.5000 0.0000  8 Tm 2.91
Ru3 0.5000 0.0000 0.0000  8 Tm 2.91
Ru4 0.5000 0.5000 0.5000  8 Tm 2.91

***

Q: The highest DFT total energy belongs to which entry?
A: HfMg14Mo

***

Q: Which of these has the highest DFT total energy?
A: HfMg14Mo

***

Q: The highest DFT total energy belongs to which entry?
A: HfMg14Mo

***

Q: DFT total energy of number 2 (K2PbBr4O)?
A: -50.45 eV/cell